[1]
# Na18Ca16Nb8Si9S27O144 (PBE-GGA, optimized geometry)
data_Na18Ca16Nb8Si9S27O144
_cell_length_a 18.328
_cell_length_b 9.189
_cell_length_c 23.547
_cell_angle_alpha 90.06
_cell_angle_beta 90.18
_cell_angle_gamma 120.04
_space_group_name_H-M_alt 'P 1'
_space_group_IT_number 1
loop_
_space_group_symop_operation_xyz
'x,y,z'
loop_
_atom_site_label
_atom_site_type_symbol
_atom_site_fract_x
_atom_site_fract_y
_atom_site_fract_z
Na1 Na 0.671 0.672 0.161
Na2 Na 0.664 0.282 0.904
Na3 Na 0.509 0.982 0.991
Na4 Na 0.823 0.309 0.822
Na5 Na 0.823 0.323 0.319
Na6 Na 0.855 0.673 0.408
Na7 Na 0.345 0.654 0.420
Na8 Na 0.323 0.325 0.818
Na9 Na 0.510 0.011 0.507
Na10 Na 0.008 0.008 0.999
Na11 Na 0.166 0.670 0.164
Na12 Na 0.356 0.040 0.905
Na13 Na 0.668 0.664 0.667
Na14 Na 0.848 0.036 0.906
Na15 Na 0.012 0.041 0.500
Na16 Na 0.321 0.316 0.330
Na17 Na 0.168 0.672 0.662
Na18 Na 0.164 0.048 0.409
S1 S 0.023 0.379 0.914
S2 S 0.505 0.298 0.250
S3 S 0.340 0.031 0.085
S4 S 0.005 0.713 0.750
S5 S 0.308 0.950 0.414
S6 S 0.520 0.377 0.915
S7 S 0.809 0.664 0.915
S8 S 0.669 0.386 0.415
S9 S 0.307 0.663 0.914
S10 S 0.505 0.710 0.748
S11 S 0.675 0.030 0.586
S12 S 0.342 0.652 0.585
S13 S 0.676 0.324 0.086
S14 S 0.168 0.952 0.915
S15 S 0.807 0.952 0.414
S16 S 0.021 0.661 0.414
S17 S 0.174 0.028 0.585
S18 S 0.521 0.664 0.414
S19 S 0.841 0.649 0.583
S20 S 0.351 0.714 0.251
S21 S 0.984 0.644 0.087
S22 S 0.983 0.321 0.588
S23 S 0.841 0.030 0.086
S24 S 0.484 0.320 0.586
S25 S 0.483 0.642 0.089
S26 S 0.006 0.301 0.249
S27 S 0.176 0.321 0.087
O1 O 0.435 0.577 0.036
O2 O 0.516 0.826 0.698
O3 O 0.664 0.467 0.466
O4 O 0.936 0.295 0.534
O5 O 0.208 0.118 0.530
O6 O 0.406 0.973 0.701
O7 O 0.436 0.293 0.533
O8 O 0.168 0.495 0.358
O9 O 0.269 0.680 0.583
O10 O 0.151 0.810 0.259
O11 O 0.831 0.121 0.133
O12 O 0.071 0.682 0.464
O13 O 0.267 0.859 0.082
O14 O 0.162 0.857 0.582
O15 O 0.434 0.358 0.917
O16 O 0.095 0.975 0.913
O17 O 0.436 0.542 0.738
O18 O 0.508 0.204 0.912
O19 O 0.146 0.482 0.760
O20 O 0.398 0.828 0.201
O21 O 0.769 0.679 0.966
O22 O 0.729 0.341 0.134
O23 O 0.019 0.827 0.699
O24 O 0.071 0.481 0.864
O25 O 0.756 0.652 0.862
O26 O 0.493 0.778 0.800
O27 O 0.418 0.015 0.097
O28 O 0.943 0.543 0.136
O29 O 0.491 0.160 0.595
O30 O 0.709 0.126 0.533
O31 O 0.396 0.787 0.304
O32 O 0.753 0.853 0.361
O33 O 0.083 0.976 0.200
O34 O 0.646 0.810 0.259
O35 O 0.835 0.519 0.243
O36 O 0.390 0.815 0.910
O37 O 0.229 0.345 0.136
O38 O 0.489 0.819 0.097
O39 O 0.571 0.463 0.582
O40 O 0.395 0.008 0.815
O41 O 0.812 0.507 0.915
O42 O 0.443 0.341 0.635
O43 O 0.437 0.331 0.239
O44 O 0.266 0.676 0.965
O45 O 0.390 0.961 0.407
O46 O 0.994 0.210 0.301
O47 O 0.353 0.586 0.529
O48 O 0.706 0.292 0.032
O49 O 0.669 0.842 0.859
O50 O 0.769 0.857 0.084
O51 O 0.340 0.547 0.242
O52 O 0.090 0.165 0.096
O53 O 0.895 0.780 0.316
O54 O 0.230 0.120 0.632
O55 O 0.313 0.509 0.913
O56 O 0.355 0.124 0.031
O57 O 0.895 0.007 0.815
O58 O 0.211 0.294 0.034
O59 O 0.589 0.014 0.594
O60 O 0.313 0.116 0.413
O61 O 0.937 0.334 0.239
O62 O 0.087 0.474 0.253
O63 O 0.588 0.163 0.097
O64 O 0.756 0.694 0.260
O65 O 0.491 0.201 0.301
O66 O 0.660 0.464 0.084
O67 O 0.742 0.350 0.743
O68 O 0.662 0.859 0.581
O69 O 0.256 0.367 0.410
O70 O 0.569 0.682 0.465
O71 O 0.937 0.507 0.414
O72 O 0.069 0.465 0.585
O73 O 0.438 0.506 0.413
O74 O 0.602 0.016 0.306
O75 O 0.813 0.117 0.412
O76 O 0.244 0.354 0.742
O77 O 0.505 0.807 0.410
O78 O 0.581 0.188 0.701
O79 O 0.908 0.976 0.700
O80 O 0.421 0.822 0.593
O81 O 0.612 0.207 0.813
O82 O 0.672 0.491 0.363
O83 O 0.582 0.977 0.196
O84 O 0.569 0.674 0.086
O85 O 0.256 0.817 0.760
O86 O 0.588 0.996 0.917
O87 O 0.645 0.488 0.760
O88 O 0.071 0.678 0.083
O89 O 0.831 0.539 0.631
O90 O 0.108 0.191 0.808
O91 O 0.164 0.862 0.967
O92 O 0.089 0.014 0.593
O93 O 0.595 0.217 0.411
O94 O 0.269 0.857 0.465
O95 O 0.993 0.782 0.802
O96 O 0.087 0.706 0.755
O97 O 0.939 0.337 0.636
O98 O 0.936 0.577 0.034
O99 O 0.566 0.478 0.864
O100 O 0.768 0.675 0.580
O101 O 0.253 0.654 0.862
O102 O 0.939 0.368 0.914
O103 O 0.253 0.856 0.361
O104 O 0.070 0.653 0.362
O105 O 0.919 0.819 0.593
O106 O 0.088 0.179 0.418
O107 O 0.587 0.706 0.751
O108 O 0.728 0.115 0.635
O109 O 0.168 0.478 0.469
O110 O 0.010 0.809 0.409
O111 O 0.750 0.383 0.414
O112 O 0.839 0.156 0.744
O113 O 0.019 0.214 0.199
O114 O 0.852 0.579 0.529
O115 O 0.172 0.854 0.864
O116 O 0.758 0.821 0.758
O117 O 0.853 0.120 0.031
O118 O 0.743 0.137 0.243
O119 O 0.765 0.854 0.464
O120 O 0.112 0.013 0.314
O121 O 0.249 0.116 0.915
O122 O 0.009 0.206 0.913
O123 O 0.664 0.861 0.971
O124 O 0.921 0.019 0.096
O125 O 0.587 0.464 0.255
O126 O 0.266 0.702 0.253
O127 O 0.330 0.121 0.133
O128 O 0.335 0.150 0.743
O129 O 0.991 0.820 0.095
O130 O 0.570 0.659 0.363
O131 O 0.907 0.839 0.201
O132 O 0.083 0.190 0.697
O133 O 0.516 0.206 0.199
O134 O 0.069 0.460 0.967
O135 O 0.893 0.814 0.911
O136 O 0.990 0.161 0.595
O137 O 0.439 0.543 0.138
O138 O 0.889 0.964 0.409
O139 O 0.163 0.467 0.082
O140 O 0.333 0.542 0.631
O141 O 0.756 0.142 0.910
O142 O 0.244 0.146 0.245
O143 O 0.937 0.544 0.739
O144 O 0.568 0.453 0.967
Nb1 Nb 0.999 0.010 0.656
Nb2 Nb 0.000 0.985 0.157
Nb3 Nb 0.500 0.011 0.659
Nb4 Nb 0.671 0.682 0.809
Nb5 Nb 0.168 0.663 0.807
Nb6 Nb 0.670 0.675 0.308
Nb7 Nb 0.163 0.658 0.313
Nb8 Nb 0.505 0.000 0.151
Ca1 Ca 0.503 0.995 0.849
Ca2 Ca 0.505 0.009 0.352
Ca3 Ca 0.331 0.340 0.982
Ca4 Ca 0.165 0.657 0.522
Ca5 Ca 0.665 0.672 0.018
Ca6 Ca 0.332 0.335 0.486
Ca7 Ca 0.330 0.329 0.684
Ca8 Ca 0.165 0.662 0.020
Ca9 Ca 0.003 0.012 0.349
Ca10 Ca 0.832 0.331 0.184
Ca11 Ca 0.004 0.002 0.850
Ca12 Ca 0.664 0.667 0.522
Ca13 Ca 0.830 0.321 0.487
Ca14 Ca 0.834 0.327 0.980
Ca15 Ca 0.829 0.331 0.686
Ca16 Ca 0.329 0.325 0.185
Si1 Si 0.650 0.310 0.757
Si2 Si 0.649 0.999 0.253
Si3 Si 0.167 0.368 0.417
Si4 Si 0.150 0.298 0.754
Si5 Si 0.352 0.003 0.757
Si6 Si 0.151 0.994 0.256
Si7 Si 0.853 0.005 0.757
Si8 Si 0.666 0.963 0.917
Si9 Si 0.853 0.701 0.257
# Crystal system   triclinic
# Energy relative to the elements   -2.514 eV per atom
# Raw total energy   -1468.96 eV/cell
# Magnetization   0.000 μB per cell

***

[2]
# Na9Ca5Nb7Si9S9O72 (PBE-GGA, optimized geometry)
data_Na9Ca5Nb7Si9S9O72
_cell_length_a 9.121
_cell_length_b 9.123
_cell_length_c 23.139
_cell_angle_alpha 89.65
_cell_angle_beta 90.67
_cell_angle_gamma 120.18
_space_group_name_H-M_alt 'P 1'
_space_group_IT_number 1
loop_
_space_group_symop_operation_xyz
'x,y,z'
loop_
_atom_site_label
_atom_site_type_symbol
_atom_site_fract_x
_atom_site_fract_y
_atom_site_fract_z
O1 O 0.463 0.365 0.135
O2 O 0.669 0.538 0.241
O3 O 0.212 0.196 0.803
O4 O 0.135 0.679 0.466
O5 O 0.280 0.462 0.754
O6 O 0.485 0.129 0.637
O7 O 0.180 0.475 0.255
O8 O 0.874 0.339 0.244
O9 O 0.162 0.670 0.070
O10 O 0.510 0.815 0.760
O11 O 0.860 0.371 0.923
O12 O 0.197 0.969 0.913
O13 O 0.484 0.159 0.248
O14 O 0.207 0.200 0.411
O15 O 0.170 0.699 0.752
O16 O 0.845 0.027 0.094
O17 O 0.154 0.472 0.580
O18 O 0.366 0.868 0.865
O19 O 0.172 0.206 0.698
O20 O 0.302 0.817 0.259
O21 O 0.341 0.851 0.578
O22 O 0.173 0.025 0.594
O23 O 0.333 0.476 0.074
O24 O 0.864 0.544 0.747
O25 O 0.843 0.803 0.585
O26 O 0.458 0.338 0.744
O27 O 0.357 0.481 0.363
O28 O 0.214 0.003 0.315
O29 O 0.612 0.090 0.140
O30 O 0.695 0.543 0.531
O31 O 0.545 0.874 0.480
O32 O 0.512 0.374 0.419
O33 O 0.191 0.174 0.089
O34 O 0.506 0.661 0.974
O35 O 0.630 0.154 0.423
O36 O 0.828 0.023 0.803
O37 O 0.953 0.139 0.591
O38 O 0.863 0.498 0.418
O39 O 0.794 0.785 0.301
O40 O 0.038 0.205 0.921
O41 O 0.027 0.820 0.698
O42 O 0.162 0.503 0.971
O43 O 0.138 0.498 0.856
O44 O 0.800 0.969 0.691
O45 O 0.783 0.821 0.196
O46 O 0.517 0.847 0.065
O47 O 0.462 0.162 0.524
O48 O 0.017 0.806 0.408
O49 O 0.841 0.535 0.027
O50 O 0.698 0.172 0.027
O51 O 0.991 0.207 0.302
O52 O 0.804 0.810 0.922
O53 O 0.824 0.303 0.532
O54 O 0.504 0.125 0.921
O55 O 0.325 0.449 0.468
O56 O 0.496 0.854 0.363
O57 O 0.031 0.217 0.198
O58 O 0.334 0.856 0.970
O59 O 0.445 0.302 0.032
O60 O 0.901 0.525 0.141
O61 O 0.525 0.700 0.254
O62 O 0.501 0.638 0.862
O63 O 0.004 0.799 0.803
O64 O 0.888 0.351 0.648
O65 O 0.659 0.540 0.636
O66 O 0.615 0.467 0.928
O67 O 0.676 0.157 0.750
O68 O 0.161 0.984 0.198
O69 O 0.983 0.821 0.093
O70 O 0.540 0.668 0.576
O71 O 0.124 0.634 0.362
O72 O 0.821 0.004 0.415
Na1 Na 0.984 0.002 0.494
Na2 Na 0.656 0.315 0.829
Na3 Na 0.982 0.003 0.991
Na4 Na 0.324 0.022 0.406
Na5 Na 0.975 0.346 0.746
Na6 Na 0.662 0.327 0.322
Na7 Na 0.328 0.678 0.164
Na8 Na 0.310 0.668 0.656
Na9 Na 0.640 0.972 0.581
Nb1 Nb 0.337 0.664 0.021
Nb2 Nb 0.700 0.349 0.979
Nb3 Nb 0.347 0.668 0.816
Nb4 Nb 0.992 0.000 0.645
Nb5 Nb 0.659 0.312 0.484
Nb6 Nb 0.001 0.992 0.144
Nb7 Nb 0.340 0.683 0.312
Si1 Si 0.634 0.966 0.422
Si2 Si 0.052 0.383 0.916
Si3 Si 0.621 0.651 0.922
Si4 Si 0.295 0.009 0.255
Si5 Si 0.702 0.996 0.752
Si6 Si 0.668 0.040 0.083
Si7 Si 0.971 0.630 0.085
Si8 Si 0.358 0.032 0.587
Si9 Si 0.965 0.333 0.590
S1 S 0.033 0.655 0.415
S2 S 0.678 0.631 0.583
S3 S 0.347 0.378 0.416
S4 S 0.013 0.304 0.250
S5 S 0.367 0.330 0.083
S6 S 0.699 0.709 0.249
S7 S 0.347 0.956 0.918
S8 S 0.284 0.295 0.751
S9 S 0.013 0.716 0.751
Ca1 Ca 0.993 0.002 0.350
Ca2 Ca 0.668 0.324 0.181
Ca3 Ca 0.992 0.996 0.861
Ca4 Ca 0.661 0.332 0.687
Ca5 Ca 0.325 0.656 0.518
# Crystal system   triclinic
# Energy relative to the elements   -2.614 eV per atom
# Raw total energy   -775.61 eV/cell
# Magnetization   0.000 μB per cell

***

[3]
# Na18Ca8Nb4Si9S9O72 (PBE-GGA, optimized geometry)
data_Na18Ca8Nb4Si9S9O72
_cell_length_a 9.373
_cell_length_b 9.344
_cell_length_c 22.990
_cell_angle_alpha 90.78
_cell_angle_beta 90.12
_cell_angle_gamma 119.98
_space_group_name_H-M_alt 'P 1'
_space_group_IT_number 1
loop_
_space_group_symop_operation_xyz
'x,y,z'
loop_
_atom_site_label
_atom_site_type_symbol
_atom_site_fract_x
_atom_site_fract_y
_atom_site_fract_z
S1 S 0.628 0.656 0.920
S2 S 0.352 0.375 0.416
S3 S 0.013 0.700 0.753
S4 S 0.682 0.699 0.251
S5 S 0.673 0.044 0.079
S6 S 0.026 0.655 0.418
S7 S 0.372 0.044 0.580
S8 S 0.379 0.333 0.079
S9 S 0.023 0.370 0.919
Si1 Si 0.306 0.311 0.751
Si2 Si 0.671 0.631 0.583
Si3 Si 0.963 0.632 0.084
Si4 Si 0.008 0.311 0.248
Si5 Si 0.636 0.977 0.425
Si6 Si 0.697 0.000 0.751
Si7 Si 0.970 0.334 0.586
Si8 Si 0.304 0.995 0.249
Si9 Si 0.333 0.970 0.925
Na1 Na 0.276 0.941 0.081
Na2 Na 0.019 0.976 0.993
Na3 Na 0.296 0.344 0.590
Na4 Na 0.959 0.994 0.498
Na5 Na 0.031 0.347 0.096
Na6 Na 0.663 0.312 0.334
Na7 Na 0.682 0.706 0.082
Na8 Na 0.365 0.040 0.754
Na9 Na 0.674 0.950 0.579
Na10 Na 0.291 0.658 0.169
Na11 Na 0.645 0.315 0.825
Na12 Na 0.672 0.037 0.262
Na13 Na 0.339 0.643 0.652
Na14 Na 0.990 0.332 0.737
Na15 Na 0.332 0.324 0.260
Na16 Na 0.995 0.644 0.240
Na17 Na 0.023 0.684 0.584
Na18 Na 0.648 0.645 0.731
O1 O 0.183 0.001 0.917
O2 O 0.848 0.800 0.576
O3 O 0.108 0.443 0.975
O4 O 0.198 0.024 0.296
O5 O 0.216 0.046 0.579
O6 O 0.315 0.820 0.267
O7 O 0.516 0.636 0.870
O8 O 0.218 0.165 0.797
O9 O 0.183 0.489 0.269
O10 O 0.494 0.145 0.249
O11 O 0.211 0.210 0.408
O12 O 0.203 0.271 0.690
O13 O 0.479 0.324 0.028
O14 O 0.643 0.525 0.244
O15 O 0.740 0.938 0.690
O16 O 0.107 0.477 0.869
O17 O 0.145 0.503 0.577
O18 O 0.968 0.809 0.076
O19 O 0.465 0.344 0.134
O20 O 0.515 0.158 0.926
O21 O 0.509 0.653 0.578
O22 O 0.954 0.159 0.291
O23 O 0.332 0.891 0.986
O24 O 0.476 0.150 0.530
O25 O 0.048 0.794 0.699
O26 O 0.653 0.534 0.642
O27 O 0.874 0.529 0.749
O28 O 0.813 0.000 0.414
O29 O 0.507 0.823 0.769
O30 O 0.888 0.349 0.645
O31 O 0.169 0.685 0.763
O32 O 0.510 0.371 0.414
O33 O 0.746 0.792 0.195
O34 O 0.557 0.668 0.975
O35 O 0.863 0.495 0.418
O36 O 0.647 0.113 0.133
O37 O 0.650 0.145 0.750
O38 O 0.875 0.539 0.142
O39 O 0.973 0.164 0.576
O40 O 0.116 0.673 0.472
O41 O 0.002 0.793 0.407
O42 O 0.351 0.852 0.871
O43 O 0.366 0.484 0.073
O44 O 0.556 0.893 0.485
O45 O 0.142 0.641 0.081
O46 O 0.832 0.504 0.027
O47 O 0.667 0.501 0.527
O48 O 0.991 0.202 0.914
O49 O 0.360 0.484 0.364
O50 O 0.817 0.022 0.803
O51 O 0.851 0.359 0.922
O52 O 0.519 0.694 0.261
O53 O 0.500 0.363 0.750
O54 O 0.215 0.181 0.076
O55 O 0.307 0.489 0.776
O56 O 0.336 0.449 0.470
O57 O 0.635 0.494 0.921
O58 O 0.496 0.851 0.369
O59 O 0.124 0.636 0.367
O60 O 0.676 0.150 0.028
O61 O 0.461 0.112 0.636
O62 O 0.863 0.359 0.249
O63 O 0.796 0.778 0.299
O64 O 0.837 0.325 0.528
O65 O 0.834 0.047 0.079
O66 O 0.794 0.793 0.912
O67 O 0.339 0.872 0.575
O68 O 0.990 0.783 0.803
O69 O 0.636 0.160 0.422
O70 O 0.207 0.937 0.185
O71 O 0.064 0.268 0.185
O72 O 0.538 0.870 0.073
Nb1 Nb 0.671 0.338 0.976
Nb2 Nb 0.332 0.677 0.321
Nb3 Nb 0.343 0.682 0.818
Nb4 Nb 0.678 0.332 0.483
Ca1 Ca 0.990 0.010 0.650
Ca2 Ca 0.326 0.671 0.012
Ca3 Ca 0.667 0.334 0.682
Ca4 Ca 0.012 0.012 0.851
Ca5 Ca 0.999 0.009 0.352
Ca6 Ca 0.342 0.668 0.513
Ca7 Ca 0.671 0.332 0.185
Ca8 Ca 0.016 0.006 0.158
# Crystal system   triclinic
# Energy relative to the elements   -2.598 eV per atom
# Raw total energy   -784.85 eV/cell
# Magnetization   0.000 μB per cell